Record 1
Entry from the Materials Project: CdGeO3 after structural relaxation (PBE).

Cell: 5.312 5.364 7.581 Å, 90.00 90.00 90.00°
Positions (direct):
O  0.295  0.710  0.548
O  0.205  0.210  0.548
O  0.795  0.790  0.048
O  0.910  0.529  0.750
O  0.795  0.790  0.452
O  0.295  0.710  0.952
O  0.205  0.210  0.952
O  0.705  0.290  0.048
O  0.090  0.471  0.250
O  0.590  0.029  0.750
O  0.410  0.971  0.250
O  0.705  0.290  0.452
Ge  0.500  0.000  0.000
Ge  0.500  0.000  0.500
Ge  0.000  0.500  0.500
Ge  0.000  0.500  0.000
Cd  0.492  0.464  0.750
Cd  0.508  0.536  0.250
Cd  0.008  0.964  0.750
Cd  0.992  0.036  0.250

Energy relative to the elements ... -1.748 eV per atom
Crystal system ... orthorhombic
Electronic total energy ... -27.07 eV/f.u.
Space-group type ... Pnma



Record 2
Entry from the Materials Project: Na2Mn3Cl8 after structural relaxation (PBE).

Cell: 7.881 7.881 7.881 Å, 56.83 56.83 56.83°
Positions (direct):
Mn  0.500  0.000  0.500
Mn  0.000  0.500  0.500
Mn  0.500  0.500  0.000
Cl  0.103  0.577  0.103
Cl  0.423  0.897  0.897
Cl  0.897  0.423  0.897
Cl  0.577  0.103  0.103
Cl  0.103  0.103  0.577
Cl  0.404  0.404  0.404
Cl  0.897  0.897  0.423
Cl  0.596  0.596  0.596
Na  0.841  0.841  0.841
Na  0.159  0.159  0.159

Energy relative to the elements ... -1.688 eV per atom
Crystal system ... trigonal
Electronic total energy ... -61.95 eV/f.u.
Space-group type ... R-3m